No. 1
VASP calculation (PBE-GGA) on a relaxed structure of ZrRu3.

VASP energy   -9.24 eV/atom

```
data_ZrRu3
_cell_length_a 3.976
_cell_length_b 3.976
_cell_length_c 3.976
_cell_angle_alpha 90.00
_cell_angle_beta 90.00
_cell_angle_gamma 90.00
_space_group_name_H-M_alt 'P m -3 m'
_space_group_IT_number 221
_space_group_name_Hall '-P 4 2 3'
loop_
_atom_site_label
_atom_site_type_symbol
_atom_site_fract_x
_atom_site_fract_y
_atom_site_fract_z
Zr1 Zr 0.000 0.000 0.000
Ru1 Ru 0.000 0.500 0.500
```



No. 2
VASP calculation (PBE-GGA) on a relaxed structure of ZrRu3.

VASP energy   -9.23 eV/atom

```
data_ZrRu3
_cell_length_a 5.7121
_cell_length_b 5.7121
_cell_length_c 4.4474
_cell_angle_alpha 90.00
_cell_angle_beta 90.00
_cell_angle_gamma 120.00
_space_group_name_H-M_alt 'P 63/m m c'
_space_group_IT_number 194
_space_group_name_Hall '-P 6c 2c'
loop_
_atom_site_label
_atom_site_type_symbol
_atom_site_fract_x
_atom_site_fract_y
_atom_site_fract_z
Zr1 Zr 0.3333 0.6667 0.2500
Ru1 Ru 0.1637 0.3274 0.7500
```



No. 3
VASP calculation (PBE-GGA) on a relaxed structure of S.

Largest piezoelectric modulus   0.0 C/m²
Relative energy among the computed polymorphs   0.0409 eV per atom

```
data_S
_cell_length_a 8.4409
_cell_length_b 8.4409
_cell_length_c 4.4034
_cell_angle_alpha 90.00
_cell_angle_beta 90.00
_cell_angle_gamma 120.00
_space_group_name_H-M_alt 'P 32 2 1'
_space_group_IT_number 154
loop_
_space_group_symop_operation_xyz
'x,y,z'
'-y,x-y,z+2/3'
'-x+y,-x,z+1/3'
'y,x,-z'
'x-y,-y,-z+1/3'
'-x,-x+y,-z+2/3'
loop_
_atom_site_label
_atom_site_type_symbol
_atom_site_fract_x
_atom_site_fract_y
_atom_site_fract_z
S1 S 0.0000 0.8999 0.3333
S2 S 0.2466 0.5577 0.5593
```



No. 4
VASP calculation (PBE-GGA) on a relaxed structure of S.

Relative energy among the computed polymorphs   0.0645 eV per atom

```
data_S
_cell_length_a 11.0797
_cell_length_b 11.0797
_cell_length_c 5.3389
_cell_angle_alpha 90.00
_cell_angle_beta 90.00
_cell_angle_gamma 120.00
_space_group_name_H-M_alt 'R -3'
_space_group_IT_number 148
_space_group_name_Hall '-R 3'
loop_
_atom_site_label
_atom_site_type_symbol
_atom_site_fract_x
_atom_site_fract_y
_atom_site_fract_z
S1 S 0.0409 0.1858 0.0834
```



No. 5
VASP calculation (PBE-GGA) on a relaxed structure of S.

Relative energy among the computed polymorphs   0.0380 eV per atom

```
data_S
_cell_length_a 16.644
_cell_length_b 6.678
_cell_length_c 22.927
_cell_angle_alpha 90.00
_cell_angle_beta 133.33
_cell_angle_gamma 90.00
_space_group_name_H-M_alt 'P 1 21/c 1'
_space_group_IT_number 14
loop_
_space_group_symop_operation_xyz
'x,y,z'
'-x,-y,-z'
'-x,y+1/2,-z+1/2'
'x,-y+1/2,z+1/2'
loop_
_atom_site_label
_atom_site_type_symbol
_atom_site_fract_x
_atom_site_fract_y
_atom_site_fract_z
S1 S 0.016 0.104 0.349
S2 S 0.041 0.173 0.114
S3 S 0.057 0.008 0.617
S4 S 0.105 0.588 0.285
S5 S 0.197 0.084 0.213
S6 S 0.219 0.149 0.311
S7 S 0.242 0.033 0.822
S8 S 0.261 0.125 0.583
S9 S 0.281 0.693 0.096
S10 S 0.300 0.731 0.519
S11 S 0.400 0.245 0.681
S12 S 0.442 0.131 0.558
S13 S 0.456 0.686 0.073
S14 S 0.482 0.749 0.336
```



No. 6
VASP calculation (PBE-GGA) on a relaxed structure of S.

Relative energy among the computed polymorphs   0.0010 eV per atom

```
data_S
_cell_length_a 12.325
_cell_length_b 14.773
_cell_length_c 25.469
_cell_angle_alpha 90.00
_cell_angle_beta 90.00
_cell_angle_gamma 90.00
_space_group_name_H-M_alt 'F d d d'
_space_group_IT_number 70
loop_
_space_group_symop_operation_xyz
'x,y,z'
'-x,-y,-z'
'-x+1/4,-y+1/4,z'
'x+1/4,y+1/4,-z'
'x,-y+1/4,-z+1/4'
'-x,y+1/4,z+1/4'
'-x+1/4,y,-z+1/4'
'x+1/4,-y,z+1/4'
'x,y+1/2,z+1/2'
'-x,-y+1/2,-z+1/2'
'-x+1/4,-y+3/4,z+1/2'
'x+1/4,y+3/4,-z+1/2'
'x,-y+3/4,-z+3/4'
'-x,y+3/4,z+3/4'
'-x+1/4,y+1/2,-z+3/4'
'x+1/4,-y+1/2,z+3/4'
'x+1/2,y,z+1/2'
'-x+1/2,-y,-z+1/2'
'-x+3/4,-y+1/4,z+1/2'
'x+3/4,y+1/4,-z+1/2'
'x+1/2,-y+1/4,-z+3/4'
'-x+1/2,y+1/4,z+3/4'
'-x+3/4,y,-z+3/4'
'x+3/4,-y,z+3/4'
'x+1/2,y+1/2,z'
'-x+1/2,-y+1/2,-z'
'-x+3/4,-y+3/4,z'
'x+3/4,y+3/4,-z'
'x+1/2,-y+3/4,-z+1/4'
'-x+1/2,y+3/4,z+1/4'
'-x+3/4,y+1/2,-z+1/4'
'x+3/4,-y+1/2,z+1/4'
loop_
_atom_site_label
_atom_site_type_symbol
_atom_site_fract_x
_atom_site_fract_y
_atom_site_fract_z
S1 S 0.018 0.281 0.006
S2 S 0.042 0.261 0.423
S3 S 0.048 0.098 0.878
S4 S 0.109 0.057 0.705
```



What did the first record say?
VASP calculation (PBE-GGA) on a relaxed structure of ZrRu3.

VASP energy   -9.24 eV/atom

```
data_ZrRu3
_cell_length_a 3.976
_cell_length_b 3.976
_cell_length_c 3.976
_cell_angle_alpha 90.00
_cell_angle_beta 90.00
_cell_angle_gamma 90.00
_space_group_name_H-M_alt 'P m -3 m'
_space_group_IT_number 221
_space_group_name_Hall '-P 4 2 3'
loop_
_atom_site_label
_atom_site_type_symbol
_atom_site_fract_x
_atom_site_fract_y
_atom_site_fract_z
Zr1 Zr 0.000 0.000 0.000
Ru1 Ru 0.000 0.500 0.500
```



What did the fifth record say?
VASP calculation (PBE-GGA) on a relaxed structure of S.

Relative energy among the computed polymorphs   0.0380 eV per atom

```
data_S
_cell_length_a 16.644
_cell_length_b 6.678
_cell_length_c 22.927
_cell_angle_alpha 90.00
_cell_angle_beta 133.33
_cell_angle_gamma 90.00
_space_group_name_H-M_alt 'P 1 21/c 1'
_space_group_IT_number 14
loop_
_space_group_symop_operation_xyz
'x,y,z'
'-x,-y,-z'
'-x,y+1/2,-z+1/2'
'x,-y+1/2,z+1/2'
loop_
_atom_site_label
_atom_site_type_symbol
_atom_site_fract_x
_atom_site_fract_y
_atom_site_fract_z
S1 S 0.016 0.104 0.349
S2 S 0.041 0.173 0.114
S3 S 0.057 0.008 0.617
S4 S 0.105 0.588 0.285
S5 S 0.197 0.084 0.213
S6 S 0.219 0.149 0.311
S7 S 0.242 0.033 0.822
S8 S 0.261 0.125 0.583
S9 S 0.281 0.693 0.096
S10 S 0.300 0.731 0.519
S11 S 0.400 0.245 0.681
S12 S 0.442 0.131 0.558
S13 S 0.456 0.686 0.073
S14 S 0.482 0.749 0.336
```



Which formula does entry 1 have?
ZrRu3